Entry 1:
Mn2SiO4 after structural relaxation. Source: the Materials Project database, functional PBE with a Hubbard U.

Structure (POSCAR):
```
Mn2SiO4
1.0
4.949 0.000 0.000
0.000 6.341 0.000
0.000 0.000 10.758
O Si Mn
16 4 8
direct
0.789 0.750 0.547
0.787 0.958 0.337
0.742 0.250 0.594
0.713 0.542 0.837
0.713 0.958 0.837
0.287 0.458 0.163
0.242 0.750 0.906
0.787 0.542 0.337
0.711 0.750 0.047
0.213 0.042 0.663
0.213 0.458 0.663
0.258 0.750 0.406
0.758 0.250 0.094
0.289 0.250 0.953
0.211 0.250 0.453
0.287 0.042 0.163
0.927 0.750 0.404
0.427 0.250 0.096
0.073 0.250 0.596
0.573 0.750 0.904
0.489 0.750 0.220
0.500 0.000 0.500
0.000 0.000 0.000
0.511 0.250 0.780
0.011 0.750 0.720
0.000 0.500 0.000
0.500 0.500 0.500
0.989 0.250 0.280
```

Symmetry   No. 62
Energy of formation   -2.594 eV/atom

***

Entry 2:
Mn7SiO12 after structural relaxation. Source: the Materials Project database, functional PBE with a Hubbard U.

Structure (POSCAR):
```
Mn7SiO12
1.0
-4.798 4.798 9.522
4.798 -4.798 9.522
4.798 4.798 -9.522
O Mn Si
48 28 4
direct
0.290 0.759 0.183
0.286 0.034 0.961
0.464 0.216 0.539
0.868 0.063 0.031
0.717 0.412 0.531
0.937 0.967 0.805
0.437 0.632 0.969
0.678 0.925 0.461
0.178 0.716 0.753
0.394 0.925 0.183
0.284 0.036 0.461
0.009 0.040 0.683
0.466 0.214 0.039
0.075 0.536 0.753
0.675 0.714 0.747
0.460 0.491 0.317
0.175 0.428 0.961
0.960 0.644 0.969
0.313 0.618 0.531
0.784 0.322 0.247
0.217 0.687 0.305
0.356 0.325 0.317
0.675 0.991 0.031
0.162 0.132 0.195
0.894 0.710 0.469
0.786 0.825 0.253
0.588 0.118 0.305
0.368 0.338 0.805
0.662 0.467 0.031
0.856 0.540 0.031
0.033 0.838 0.969
0.964 0.425 0.247
0.533 0.563 0.195
0.813 0.283 0.695
0.075 0.259 0.469
0.572 0.534 0.747
0.741 0.210 0.817
0.966 0.928 0.253
0.790 0.606 0.531
0.509 0.825 0.969
0.575 0.822 0.539
0.088 0.783 0.469
0.382 0.912 0.695
0.241 0.425 0.531
0.072 0.325 0.039
0.175 0.144 0.683
0.882 0.187 0.469
0.575 0.106 0.817
0.625 0.408 0.283
0.233 0.733 0.966
0.125 0.842 0.217
0.875 0.625 0.750
0.000 0.500 0.500
0.092 0.875 0.717
0.767 0.267 0.034
0.250 0.250 0.000
0.875 0.625 0.250
0.750 0.750 0.000
0.625 0.908 0.783
0.875 0.125 0.250
0.125 0.342 0.717
0.375 0.625 0.250
0.517 0.517 0.534
0.375 0.125 0.250
0.983 0.983 0.466
0.483 0.017 0.000
0.658 0.375 0.783
0.158 0.375 0.283
0.875 0.125 0.750
0.733 0.767 0.500
0.267 0.233 0.500
0.592 0.875 0.217
0.375 0.125 0.750
0.500 0.000 0.500
0.017 0.483 0.000
0.375 0.625 0.750
0.000 0.000 0.000
0.500 0.500 0.000
0.750 0.250 0.500
0.250 0.750 0.500
```

Symmetry   No. 142
Excess energy over the best structure of this formula in the dataset   0.0 meV per atom
Energy of formation   -2.237 eV/atom